[1]
The following is a DFT calculation (GGA-PBE) of a relaxed structure of Ba3SrNd2Ir2O12.

Cell: 6.025 6.066 8.560 Å, 90.51 90.11 90.30°
Positions (direct):
Ba 0.000 0.000 0.000
Ba 0.002 0.994 0.504
Ba 0.502 0.494 0.005
Sr 0.494 0.503 0.497
Nd 0.000 0.497 0.751
Nd 0.501 0.997 0.254
Ir 0.002 0.497 0.255
Ir 0.501 0.997 0.751
O 0.036 0.525 0.483
O 0.205 0.752 0.228
O 0.244 0.201 0.753
O 0.264 0.297 0.256
O 0.298 0.741 0.775
O 0.476 0.961 0.522
O 0.527 0.026 0.982
O 0.699 0.257 0.720
O 0.740 0.698 0.259
O 0.758 0.793 0.750
O 0.796 0.245 0.280
O 0.975 0.469 0.022

Values from the calculation:
space-group type: No. 1

***

[2]
The following is a DFT calculation (GGA-PBE) of a relaxed structure of SiO2.

Cell: 9.662 9.662 9.662 Å, 94.30 94.30 148.21°
Positions (direct):
Si 0.119 0.290 0.409
Si 0.119 0.710 0.829
Si 0.290 0.119 0.409
Si 0.290 0.881 0.171
Si 0.710 0.119 0.829
Si 0.710 0.881 0.591
Si 0.881 0.290 0.171
Si 0.881 0.710 0.591
O 0.000 0.257 0.257
O 0.000 0.743 0.743
O 0.107 0.607 0.215
O 0.107 0.893 0.500
O 0.186 0.186 0.373
O 0.186 0.814 0.000
O 0.257 0.000 0.257
O 0.393 0.607 0.500
O 0.393 0.893 0.785
O 0.607 0.107 0.215
O 0.607 0.393 0.500
O 0.743 0.000 0.743
O 0.814 0.186 0.000
O 0.814 0.814 0.627
O 0.893 0.107 0.500
O 0.893 0.393 0.785

Values from the calculation:
space-group type: No. 139

***

[3]
The following is a DFT calculation (GGA-PBE) of a relaxed structure of Nd2CuRu.

Cell: 5.019 5.019 5.019 Å, 60.00 60.00 60.00°
Positions (direct):
Nd 0.250 0.250 0.250
Nd 0.750 0.750 0.750
Cu 0.000 0.000 0.000
Ru 0.500 0.500 0.500

Values from the calculation:
space-group type: No. 225

***

[4]
The following is a DFT calculation (GGA-PBE) of a relaxed structure of Ba2PIO4.

Cell: 9.529 9.414 9.024 Å, 90.00 111.94 90.00°
Positions (direct):
Ba 0.160 0.192 0.042
Ba 0.160 0.308 0.542
Ba 0.250 0.670 0.953
Ba 0.250 0.830 0.453
Ba 0.750 0.170 0.547
Ba 0.750 0.330 0.047
Ba 0.840 0.692 0.458
Ba 0.840 0.808 0.958
P 0.040 0.558 0.239
P 0.040 0.942 0.739
P 0.960 0.058 0.261
P 0.960 0.442 0.761
I 0.497 0.077 0.757
I 0.497 0.423 0.257
I 0.503 0.577 0.743
I 0.503 0.923 0.243
O 0.069 0.099 0.706
O 0.069 0.401 0.206
O 0.097 0.583 0.423
O 0.097 0.917 0.923
O 0.121 0.668 0.170
O 0.121 0.832 0.670
O 0.135 0.085 0.334
O 0.135 0.415 0.834
O 0.865 0.585 0.166
O 0.865 0.915 0.666
O 0.879 0.168 0.330
O 0.879 0.332 0.830
O 0.903 0.083 0.077
O 0.903 0.417 0.577
O 0.931 0.599 0.794
O 0.931 0.901 0.294

Values from the calculation:
space-group type: No. 14

***

[5]
The following is a DFT calculation (GGA-PBE) of a relaxed structure of CrN2.

Cell: 5.655 7.857 5.564 Å, 90.00 90.00 90.00°
Positions (direct):
Cr 0.031 0.128 0.000
Cr 0.469 0.628 0.500
Cr 0.531 0.372 0.000
Cr 0.969 0.872 0.500
N 0.002 0.999 0.764
N 0.191 0.723 0.495
N 0.309 0.223 0.995
N 0.498 0.499 0.264
N 0.502 0.501 0.764
N 0.691 0.777 0.495
N 0.809 0.277 0.995
N 0.998 0.001 0.264

Values from the calculation:
space-group type: No. 33

***

[6]
The following is a DFT calculation (GGA-PBE) of a relaxed structure of Mg6MnCd.

Cell: 5.005 6.237 10.845 Å, 90.00 90.00 90.00°
Positions (direct):
Mn 0.000 0.000 0.834
Mn 0.000 0.500 0.334
Mg 0.500 0.256 0.414
Mg 0.500 0.000 0.168
Mg 0.500 0.244 0.914
Mg 0.000 0.251 0.083
Mg 0.000 0.000 0.333
Mg 0.000 0.749 0.083
Mg 0.000 0.500 0.833
Mg 0.500 0.744 0.414
Mg 0.000 0.249 0.583
Mg 0.500 0.756 0.914
Mg 0.000 0.751 0.583
Mg 0.500 0.500 0.668
Cd 0.500 0.500 0.171
Cd 0.500 0.000 0.671

***

[7]
The following is a DFT calculation (GGA-PBE) of a relaxed structure of Mg2GaMo3S8.

Cell: 7.413 7.413 7.425 Å, 119.96 119.96 60.04°
Positions (direct):
Mg 0.124 0.124 0.373
Mg 0.876 0.876 0.627
Ga 0.500 0.500 0.500
Mo 0.000 0.500 0.000
Mo 0.500 0.000 0.000
Mo 0.500 0.500 0.000
S 0.260 0.260 0.781
S 0.261 0.261 0.237
S 0.261 0.716 0.237
S 0.284 0.739 0.763
S 0.716 0.261 0.237
S 0.739 0.284 0.763
S 0.739 0.739 0.763
S 0.740 0.740 0.219

Values from the calculation:
space-group type: No. 12

***

[8]
The following is a DFT calculation (GGA-PBE) of a relaxed structure of EuBRh3.

Cell: 4.259 4.259 4.259 Å, 90.00 90.00 90.00°
Positions (direct):
Eu 0.000 0.000 0.000
B 0.500 0.500 0.500
Rh 0.000 0.500 0.500
Rh 0.500 0.000 0.500
Rh 0.500 0.500 0.000

Values from the calculation:
space-group type: No. 221

***

Number 1: calculated formation energy -2.68 eV/atom, E_tot -6.973 eV/atom. Number 2: calculated formation energy -3.26 eV/atom, E_tot -7.907 eV/atom. Number 3: calculated formation energy -0.17 eV/atom, E_tot -5.899 eV/atom. Number 4: calculated formation energy -3.06 eV/atom, E_tot -6.537 eV/atom. Number 5: calculated formation energy -0.11 eV/atom, E_tot -8.646 eV/atom. Number 6: calculated formation energy 0.07 eV/atom, E_tot -2.390 eV/atom. Number 7: calculated formation energy -0.94 eV/atom, E_tot -5.781 eV/atom. Number 8: calculated formation energy -0.47 eV/atom, E_tot -8.276 eV/atom.